(1)
First-principles (PBE-GGA) data for crystalline Nd5ErS8 at its relaxed geometry, as listed in Materials Project.

Output
As for the final energy: -6.390 eV/atom. The formation enthalpy at 0 K comes out at -2.29 eV per atom.

Structure (extended XYZ):
```
14
Lattice="-4.2596 4.2596 4.2963 4.2596 -4.2596 4.2963 4.2596 4.2596 -4.2963" Properties=species:S:1:pos:R:3 pbc="T T T"
S 2.6954 4.8664 2.5646
Nd 3.1954 2.1137 3.2306
Nd -2.1137 3.1954 5.3620
S 3.6107 1.4725 0.4072
S 0.6489 2.7871 4.7035
S 0.6068 1.5642 1.7317
S 3.6528 2.6954 -2.5646
Er 0.0000 4.2596 2.1482
S 1.4725 4.9085 -0.4072
Nd 0.0000 0.0000 4.2963
Nd 6.3733 1.0641 1.0657
S 1.5642 -0.6068 6.8609
Nd 1.0641 2.1459 -1.0657
S 2.7871 -0.6489 3.8891
```

=====

(2)
First-principles (PBE-GGA) data for crystalline NdErTl2 at its relaxed geometry, as listed in Materials Project.

Output
As for the final energy: -3.862 eV/atom. The formation enthalpy at 0 K comes out at -0.35 eV per atom.

Structure (extended XYZ):
```
4
Lattice="0.0000 3.8442 3.8442 3.8442 0.0000 3.8442 3.8442 3.8442 0.0000" Properties=species:S:1:pos:R:3 pbc="T T T"
Er 3.8442 3.8442 3.8442
Tl 1.9221 1.9221 1.9221
Tl 5.7663 5.7663 5.7663
Nd 0.0000 0.0000 0.0000
```

=====

(3)
First-principles (PBE-GGA) data for crystalline Er3Ni at its relaxed geometry, as listed in Materials Project.

Output
As for the final energy: -5.136 eV/atom. The formation enthalpy at 0 K comes out at -0.27 eV per atom.

Structure (extended XYZ):
```
16
Lattice="-2.8920 -4.9823 2.4777 -5.2716 1.0224 -4.0970 3.9914 -5.5610 -6.5235" Properties=species:S:1:pos:R:3 pbc="T T T"
Er 0.1291 -4.3841 -6.4634
Er -4.2429 -1.2685 -2.4124
Er 0.2749 -3.1269 -3.1216
Ni -0.3055 -8.7608 -2.9984
Er -1.1980 -1.0749 -0.7144
Er -2.7700 -3.3205 -4.8196
Er 0.0708 -8.2523 -5.7304
Ni -2.3499 -3.1992 -2.1371
Er -4.4470 -6.3939 -5.0212
Er -2.9741 -8.4459 -7.4283
Ni -3.8666 -0.7601 -5.1444
Er -4.3012 -5.1367 -1.6794
Er -1.0218 -4.5391 -0.1823
Ni -1.8222 -6.3216 -6.0056
Er -1.4021 -6.2003 -3.3232
Er -3.1503 -4.9817 -7.9604
```

=====

(4)
First-principles (PBE-GGA) data for crystalline Er4Ni at its relaxed geometry, as listed in Materials Project.

Output
As for the final energy: -4.574 eV/atom. The formation enthalpy at 0 K comes out at 0.24 eV per atom.

Structure (extended XYZ):
```
10
Lattice="0.0000 5.2559 5.2559 5.2559 0.0000 5.2559 5.2559 5.2559 0.0000" Properties=species:S:1:pos:R:3 pbc="T T T"
Er 4.0728 4.0728 4.0728
Er 6.7007 9.0669 6.7007
Ni 0.0000 0.0000 0.0000
Er 6.7007 6.7007 9.0669
Ni 2.6279 2.6279 2.6279
Er 9.0669 9.0669 9.0669
Er 6.4390 6.4390 4.0728
Er 6.4390 4.0728 6.4390
Er 4.0728 6.4390 6.4390
Er 9.0669 6.7007 6.7007
```

=====

(5)
First-principles (PBE-GGA) data for crystalline Er2Ni7 at its relaxed geometry, as listed in Materials Project.

Output
As for the final energy: -5.917 eV/atom. The formation enthalpy at 0 K comes out at -0.41 eV per atom. For the energy above the most stable polymorph in this dataset, the calculation gives 3 meV per atom.

Structure (extended XYZ):
```
36
Lattice="2.4536 -4.2497 0.0000 2.4536 4.2497 0.0000 0.0000 0.0000 24.0039" Properties=species:S:1:pos:R:3 pbc="T T T"
Er 2.4536 1.4166 11.3087
Ni 0.0000 0.0000 19.9891
Ni 2.4536 -2.8236 2.0336
Ni 2.4536 -1.4166 7.9954
Ni 2.4536 2.8358 18.0029
Er 2.4536 -1.4166 12.6951
Ni 3.6721 0.7130 14.0356
Ni 1.2350 -0.7130 9.9683
Ni 1.2350 0.7130 21.9702
Ni 1.2350 -0.7130 2.0336
Er 2.4536 1.4166 4.1536
Er 2.4536 -1.4166 16.1555
Ni 1.2245 -0.7070 6.0010
Er 2.4536 -1.4166 23.3107
Ni 1.2350 0.7130 14.0356
Ni 2.4536 2.8236 14.0356
Ni 2.4536 -2.8358 6.0010
Ni 2.4536 -2.8236 9.9683
Ni 0.0000 0.0000 16.0167
Er 2.4536 -1.4166 19.8503
Ni 0.0000 0.0000 7.9872
Ni 2.4536 1.4166 19.9973
Er 2.4536 1.4166 0.6932
Ni 0.0000 0.0000 4.0148
Ni 3.6827 0.7070 18.0029
Ni 2.4536 1.4166 16.0085
Ni 3.6827 -0.7070 6.0010
Er 2.4536 1.4166 7.8484
Ni 3.6721 -0.7130 2.0336
Ni 2.4536 -1.4166 4.0065
Ni 0.0000 0.0000 0.0000
Ni 3.6721 -0.7130 9.9683
Ni 3.6721 0.7130 21.9702
Ni 0.0000 0.0000 12.0019
Ni 2.4536 2.8236 21.9702
Ni 1.2245 0.7070 18.0029
```

=====

(6)
First-principles (PBE-GGA) data for crystalline Er2Ni17 at its relaxed geometry, as listed in Materials Project.

Output
As for the final energy: -5.860 eV/atom. The formation enthalpy at 0 K comes out at -0.21 eV per atom.

Structure (extended XYZ):
```
38
Lattice="2.6393 7.7953 0.5479 -7.8545 -1.8262 1.7334 1.9691 -1.2046 7.6533" Properties=species:S:1:pos:R:3 pbc="T T T"
Ni -5.3674 2.8622 3.9189
Ni -0.9451 5.4120 7.3571
Ni -2.8623 2.5138 9.3023
Ni 0.3256 3.8637 5.5456
Ni -2.3010 -0.6475 2.5775
Er -2.8797 0.4775 7.0782
Ni -3.7623 3.0644 5.8044
Ni -2.6076 2.9845 1.1407
Ni -3.5716 0.9008 4.3890
Ni -1.6983 3.1872 7.2007
Ni 1.8459 5.6275 4.4062
Ni -3.1258 3.3834 3.4241
Ni -0.1203 1.3811 6.5105
Er -0.3664 4.2870 2.8564
Ni -2.1113 4.7075 5.2796
Er 0.4923 -0.3011 1.9133
Ni 2.9199 4.2610 6.1815
Ni -4.1920 -1.4136 9.0263
Ni -0.3838 2.2507 0.6323
Ni -5.0920 -0.8630 5.5284
Ni -2.9427 -1.5154 4.6934
Ni -3.9272 -0.9131 0.8667
Ni 0.9109 3.5057 7.8205
Ni -1.5478 1.5773 2.7339
Ni 1.4315 5.9646 6.8326
Ni 0.5162 1.7001 4.1302
Ni 2.3042 3.2954 4.1006
Ni 1.3196 3.8976 0.2739
Ni -6.1660 0.5035 3.7531
Ni -4.1569 1.2588 2.1141
Ni 2.1214 1.9023 6.0157
Ni -4.6776 -1.2001 3.1020
Ni -1.6230 2.3823 4.9673
Er 1.4768 -0.9034 5.7400
Ni -3.0113 5.2580 1.7817
Ni 0.9460 6.1781 0.9083
Ni -1.1348 0.0570 4.6550
Ni -0.2348 -0.4935 8.1529
```

=====

(7)
First-principles (PBE-GGA) data for crystalline ErNi2 at its relaxed geometry, as listed in Materials Project.

Output
As for the final energy: -5.856 eV/atom. The formation enthalpy at 0 K comes out at -0.48 eV per atom.

Structure (extended XYZ):
```
6
Lattice="1.5383 3.4584 3.3131 -3.1750 3.5764 1.5596 -1.7555 -0.0763 4.7134" Properties=species:S:1:pos:R:3 pbc="T T T"
Ni -1.2424 4.3872 3.6346
Ni -2.1201 4.3490 5.9913
Er 0.0000 0.0000 0.0000
Ni -2.8892 2.6198 4.3348
Er -0.8480 1.7396 2.3965
Ni -0.5326 2.5608 5.2115
```

=====

(8)
First-principles (PBE-GGA) data for crystalline Er2Ni7 at its relaxed geometry, as listed in Materials Project.

Output
As for the final energy: -5.920 eV/atom. The formation enthalpy at 0 K comes out at -0.41 eV per atom. For the energy above the most stable polymorph in this dataset, the calculation gives 0 meV per atom.

Structure (extended XYZ):
```
18
Lattice="-2.4560 -4.2539 0.0000 -4.9120 0.0000 0.0000 -2.4560 -1.4180 -11.9973" Properties=species:S:1:pos:R:3 pbc="T T T"
Ni -3.6794 -2.1243 -3.9565
Ni -4.9120 -1.4127 -8.0408
Ni -1.2280 -2.1270 0.0000
Ni -6.1446 -2.1243 -3.9565
Ni -4.9120 -4.2592 -3.9565
Ni -4.9120 -2.8360 -5.9987
Er -7.3680 -4.2539 -1.8244
Ni -4.9120 -2.8360 -10.0153
Er -2.4560 -1.4180 -6.6953
Ni -3.6840 -2.1270 0.0000
Ni -2.4560 -1.4180 -1.9855
Er -2.4560 -1.4180 -10.1730
Ni -4.9120 -2.8360 -1.9820
Ni -6.1446 -3.5476 -8.0408
Er -7.3680 -4.2539 -5.3020
Ni -2.4560 0.0000 0.0000
Ni -3.6794 -3.5476 -8.0408
Ni -7.3680 -4.2539 -10.0119
```

=====

(9)
First-principles (PBE-GGA) data for crystalline Er2NiOs at its relaxed geometry, as listed in Materials Project.

Output
As for the final energy: -6.892 eV/atom. The formation enthalpy at 0 K comes out at -0.36 eV per atom.

Structure (extended XYZ):
```
4
Lattice="4.3545 -1.3355 -1.3659 1.8933 -4.0210 1.6906 0.5460 -3.7579 -2.8621" Properties=species:S:1:pos:R:3 pbc="T T T"
Ni 0.0000 0.0000 0.0000
Os 3.3969 -4.5572 -1.2687
Er 1.6985 -2.2786 -0.6343
Er 5.0954 -6.8358 -1.9030
```

=====

(10)
First-principles (PBE-GGA) data for crystalline ErNi4P2 at its relaxed geometry, as listed in Materials Project.

Output
As for the final energy: -6.339 eV/atom. The formation enthalpy at 0 K comes out at -0.84 eV per atom.

Structure (extended XYZ):
```
14
Lattice="7.0568 0.0000 0.0000 0.0000 7.0568 0.0000 0.0000 0.0000 3.6010" Properties=species:S:1:pos:R:3 pbc="T T T"
Ni 1.1500 4.1365 1.8005
Er 0.0000 0.0000 1.8005
Ni 4.6784 6.4487 0.0000
Ni 2.9203 5.9069 1.8005
P 1.9814 1.9814 1.8005
Ni 6.4487 4.6784 0.0000
Er 3.5284 3.5284 0.0000
P 5.5098 1.5470 0.0000
Ni 0.6081 2.3784 0.0000
Ni 2.3784 0.6081 0.0000
P 5.0755 5.0755 1.8005
P 1.5470 5.5098 0.0000
Ni 5.9069 2.9203 1.8005
Ni 4.1365 1.1500 1.8005
```

=====

(11)
First-principles (PBE-GGA) data for crystalline Er8Ni18P11 at its relaxed geometry, as listed in Materials Project.

Output
As for the final energy: -6.393 eV/atom. The formation enthalpy at 0 K comes out at -0.98 eV per atom.

Structure (extended XYZ):
```
74
Lattice="-10.1517 3.5412 -14.2947 8.0442 -15.9015 1.5386 -3.0265 -1.3555 1.8135" Properties=species:S:1:pos:R:3 pbc="T T T"
P 3.4860 -8.3364 -0.4137
Er -5.1708 -5.6589 -8.9205
Ni -2.9098 -4.0288 -3.9287
Er 4.0428 -11.6260 -1.9432
Ni 1.7644 -13.2432 -3.0157
Ni -4.5089 -0.9283 -8.2186
Ni 2.9380 -6.2346 0.2430
Ni 0.3873 -12.7628 -4.9549
Ni -1.8594 -11.7710 -7.9629
Ni -5.8167 -7.4291 -11.3216
Ni 4.0600 -14.1735 -3.8188
Ni 1.7234 -13.3584 -7.1090
P -9.0489 0.0682 -11.1116
Er -6.4418 0.3917 -6.5189
Ni -0.6603 -4.7382 -0.7049
Ni -0.5762 -5.0087 -4.7055
Ni -1.2615 -7.2618 -3.5944
Er -7.3387 -4.8685 -11.9475
Er -3.8355 -8.9169 -13.0660
P -1.0895 -2.6951 0.1060
Ni 2.2712 -10.2706 0.0521
Ni -0.0838 -10.4937 -4.0449
Ni -3.2054 -7.1336 -10.6815
Ni -4.9589 -3.5673 -10.9422
Ni 1.1800 -8.1134 -0.1566
Er -6.9140 -2.2130 -9.2539
P -2.2989 -9.7811 -7.2090
Er -3.0184 -6.3755 -5.8641
P 2.7087 -12.8949 -5.1182
Er -2.1886 0.7417 -3.0982
Ni 0.1996 -8.8316 -2.3296
P -1.9350 -3.6761 -5.9770
Er 0.5884 -10.4209 -6.8075
Ni -1.5474 -8.9385 -5.3249
P -0.2580 -7.0304 -5.6856
Ni -8.5283 -2.0689 -11.8403
Ni 2.2933 -10.9174 -4.3332
Ni -8.0723 0.6055 -9.0802
Er -4.7141 -2.9804 -6.1562
P -4.0864 -2.9397 -9.0169
Ni -2.2672 -1.6310 -5.0027
Ni 1.0152 -8.3909 -4.5777
P 0.6205 -6.0733 0.4346
Ni -3.6202 -8.1953 -8.2287
Er 0.0000 0.0000 0.0000
Ni -2.4007 -1.3162 -1.0516
Er -8.4032 0.1126 -13.9397
P -3.2757 -1.9457 -2.9823
P 5.2321 -15.1915 1.3152
Ni -6.7865 -0.0545 -11.3665
P -4.4742 -8.9749 -10.2366
P -4.5239 -5.5735 -11.7158
Ni 2.6282 -8.9535 -2.3065
Ni -4.0505 -10.9921 -11.0372
P -6.2441 -2.1729 -12.0448
Ni -1.0613 -7.8537 -7.6416
Er -0.4705 -2.6546 -2.7695
P -5.8002 0.4305 -9.3580
Ni 3.9167 -13.7859 0.1706
Er -1.6672 -9.6733 -10.0129
P -2.7456 -12.4086 -9.9184
P -1.5384 -5.3202 -2.6053
P 3.0755 -14.4407 -1.7228
Ni -10.3476 1.4559 -12.2417
Er 1.3055 -6.2149 -2.4668
Ni -4.6503 -0.5882 -4.2616
Ni -2.7913 -4.3235 -7.8900
Ni 1.2813 -10.9699 -2.1227
P -3.6293 -0.3268 -6.3011
Er -7.9531 2.7525 -11.2152
Ni 4.7896 -9.8947 0.5971
P -2.3857 -6.3193 -8.7049
P -0.5883 -13.1627 -6.8818
P 3.5237 -11.8122 0.9899
```

=====

(12)
First-principles (PBE-GGA) data for crystalline Er2Ni12P7 at its relaxed geometry, as listed in Materials Project.

Output
As for the final energy: -6.315 eV/atom. The formation enthalpy at 0 K comes out at -0.77 eV per atom.

Structure (extended XYZ):
```
21
Lattice="4.5108 -7.8130 0.0000 4.5108 7.8130 0.0000 0.0000 0.0000 3.6660" Properties=species:S:1:pos:R:3 pbc="T T T"
Ni 6.4393 -1.6509 0.0000
Ni 5.9146 -3.5647 1.8330
Ni 2.2342 2.2897 0.0000
P 4.5108 -2.6043 0.0000
Ni 4.6406 -0.9085 1.8330
Er 4.5108 2.6043 1.8330
Ni 5.9216 0.7900 0.0000
Ni 3.6700 5.5931 1.8330
P 3.1653 4.3172 0.0000
P 1.3525 -1.7293 1.8330
Er 0.0000 0.0000 0.0000
Ni 5.3767 4.7332 0.0000
Ni 7.5196 1.8381 1.8330
P 6.6670 2.9131 0.0000
P 3.7002 0.5826 0.0000
Ni 4.3723 -4.7512 0.0000
Ni 2.9773 -3.3398 1.8330
Ni 2.3429 0.3818 1.8330
P 6.8478 -0.3066 1.8330
Ni 2.7209 -1.4109 0.0000
P 5.3322 -5.7771 1.8330
```

=====

(13)
First-principles (PBE-GGA) data for crystalline Er2NiRu at its relaxed geometry, as listed in Materials Project.

Output
As for the final energy: -6.498 eV/atom. The formation enthalpy at 0 K comes out at -0.45 eV per atom.

Structure (extended XYZ):
```
4
Lattice="0.0000 3.3628 3.3628 3.3628 0.0000 3.3628 3.3628 3.3628 0.0000" Properties=species:S:1:pos:R:3 pbc="T T T"
Ni 0.0000 0.0000 0.0000
Er 1.6814 1.6814 1.6814
Er 5.0442 5.0442 5.0442
Ru 3.3628 3.3628 3.3628
```

=====

(14)
First-principles (PBE-GGA) data for crystalline ErNiSb at its relaxed geometry, as listed in Materials Project.

Output
As for the final energy: -5.729 eV/atom. The formation enthalpy at 0 K comes out at -0.97 eV per atom. The largest piezoelectric modulus comes out at 0.20 C/m2.

Structure (extended XYZ):
```
3
Lattice="-2.5478 -2.6136 2.5665 -2.4231 1.7871 3.2930 -4.4447 0.1832 -0.3470" Properties=species:S:1:pos:R:3 pbc="T T T"
Sb 0.0000 0.0000 0.0000
Ni -7.0617 -0.4825 4.1344
Er -4.7078 -0.3217 2.7563
```

=====

(15)
First-principles (PBE-GGA) data for crystalline Er5Ni2Sb at its relaxed geometry, as listed in Materials Project.

Output
As for the final energy: -5.364 eV/atom. The formation enthalpy at 0 K comes out at -0.57 eV per atom.

Structure (extended XYZ):
```
16
Lattice="-3.7711 3.7711 6.6934 3.7711 -3.7711 6.6934 3.7711 3.7711 -6.6934" Properties=species:S:1:pos:R:3 pbc="T T T"
Ni -0.9533 2.8178 6.6934
Er 1.1997 4.9708 1.8354
Er 2.5714 1.1997 -1.8354
Er 2.5714 -1.1997 8.5289
Er 1.1997 4.9708 -1.8354
Er 0.0000 0.0000 0.0000
Er 2.5714 -1.1997 4.8580
Er 1.1997 2.5714 8.5289
Er 1.1997 2.5714 4.8580
Sb 0.0000 0.0000 10.0402
Sb 0.0000 0.0000 3.3467
Er 2.5714 1.1997 1.8354
Ni 4.7244 0.9533 0.0000
Ni 0.9533 2.8178 0.0000
Ni 2.8178 0.9533 6.6934
Er 0.0000 0.0000 6.6934
```